DFT (PBE) results for crystalline Na3Hf2Si2PO12 at its relaxed geometry.

a = 9.1273 Å, b = 9.1273 Å, c = 22.5526 Å
α = 89.66°, β = 90.34°, γ = 119.94°
Last column: nearest neighbours and their distance in Å.
Fractional positions:
O1 0.1573 0.9710 0.9132  1 Si 1.65
Hf1 0.3403 0.6706 0.8133  6 O 2.03-2.18
Si1 0.9592 0.6273 0.0829  4 O 1.64-1.65
P1 0.2928 0.0007 0.2529  4 O 1.54-1.56
Na1 0.9969 0.9840 0.5011  6 O 2.43-2.70
O2 0.9812 0.1726 0.3022  1 Si 1.63
Na2 0.9978 0.3571 0.7518  6 O 2.41-2.69
Na3 0.9971 0.6312 0.2537  5 O 2.42-2.59
Na4 0.3311 0.0237 0.4184  6 O 2.41-2.69
O3 0.5080 0.8662 0.3577  1 Si 1.65
Hf2 0.6736 0.3373 0.4799  6 O 2.03-2.18
O4 0.3623 0.5094 0.0799  1 Si 1.65
Si2 0.6669 0.6290 0.5799  4 O 1.63-1.65
O5 0.2156 0.0210 0.3106  1 P 1.54
O6 0.1410 0.4850 0.5788  1 P 1.55
P2 0.9595 0.3340 0.5862  4 O 1.54-1.56
Na5 0.0160 0.0031 0.0011  6 O 2.43-2.70
O7 0.3581 0.8545 0.5783  1 Si 1.64
Si3 0.3336 0.9623 0.9132  4 O 1.63-1.65
Si4 0.3710 0.3331 0.0799  4 O 1.63-1.65
Na6 0.0355 0.3362 0.0871  5 O 2.42-2.59
O8 0.8266 0.7988 0.3079  1 Si 1.65
O9 0.5097 0.6466 0.8661  1 P 1.55
Hf3 0.0070 0.0039 0.1466  6 O 2.03-2.18
O10 0.3123 0.4511 0.4773  1 P 1.54
Na7 0.7021 0.6696 0.4204  5 O 2.42-2.59
O11 0.4743 0.1516 0.2454  1 P 1.55
O12 0.8484 0.5257 0.7454  1 P 1.55
O13 0.8271 0.8223 0.5852  1 Si 1.64
O14 0.8004 0.8253 0.1911  1 Si 1.65
O15 0.8822 0.3544 0.6439  1 P 1.54
O16 0.1777 0.1729 0.0852  1 Si 1.64
Si5 0.6258 0.9607 0.4162  4 O 1.64-1.65
O17 0.5150 0.8590 0.0788  1 P 1.55
O18 0.3534 0.4903 0.3661  1 P 1.55
O19 0.4968 0.3608 0.4207  1 P 1.56
Hf4 0.9954 0.0038 0.3534  6 O 1.97-2.17
O20 0.3531 0.8764 0.8526  1 Si 1.63
Na8 0.6635 0.3174 0.8345  6 O 2.43-2.70
Na9 0.6826 0.3365 0.3345  6 O 2.43-2.70
O21 0.3029 0.4781 0.7546  1 Si 1.64
O22 0.0290 0.8427 0.4132  1 Si 1.65
O23 0.1885 0.0304 0.5879  1 Si 1.64
Hf5 0.6629 0.3379 0.1867  6 O 1.97-2.17
O24 0.1338 0.4920 0.8577  1 Si 1.65
O25 0.4671 0.1586 0.5244  1 Si 1.65
Hf6 0.9962 0.0046 0.8534  6 O 1.97-2.17
O26 0.4933 0.1322 0.6412  1 Si 1.65
Si6 0.0393 0.3742 0.9162  4 O 1.64-1.65
Na10 0.3304 0.2979 0.9204  5 O 2.42-2.59
O27 0.6392 0.5032 0.9207  1 P 1.56
Na11 0.3493 0.6698 0.6678  6 O 2.43-2.70
Si7 0.7060 0.7075 0.2495  4 O 1.64-1.65
O28 0.1634 0.6942 0.7540  1 P 1.56
O29 0.3146 0.8392 0.9689  1 Si 1.63
O30 0.6864 0.5431 0.5192  1 Si 1.63
O31 0.6914 0.5212 0.2449  1 Si 1.64
O32 0.1599 0.4655 0.9745  1 Si 1.65
P3 0.6262 0.6673 0.9195  4 O 1.54-1.56
O33 0.4941 0.3521 0.1355  1 Si 1.63
Na12 0.6429 0.0022 0.2518  6 O 2.41-2.69
O34 0.3058 0.8366 0.2540  1 P 1.56
Hf7 0.3295 0.6712 0.5200  6 O 1.97-2.17
O35 0.6868 0.1570 0.0327  1 P 1.55
Na13 0.6645 0.6904 0.0851  6 O 2.41-2.69
O36 0.1236 0.6469 0.3526  1 Si 1.63
O37 0.8077 0.8183 0.9121  1 P 1.55
O38 0.0248 0.1879 0.9116  1 Si 1.64
Hf8 0.3288 0.6705 0.0200  6 O 1.97-2.17
Na14 0.3096 0.3355 0.5851  6 O 2.41-2.69
O39 0.8444 0.5063 0.4185  1 Si 1.64
O40 0.8552 0.3638 0.9213  1 Si 1.64
Na15 0.9763 0.6689 0.9184  6 O 2.41-2.69
O41 0.6479 0.5059 0.6355  1 Si 1.63
O42 0.5345 0.8401 0.4745  1 Si 1.65
O43 0.8240 0.3044 0.2466  1 Si 1.65
O44 0.8274 0.0188 0.8022  1 Si 1.63
O45 0.9790 0.7844 0.8106  1 P 1.54
Na16 0.6638 0.9645 0.5871  5 O 2.42-2.59
O46 0.5489 0.6877 0.9773  1 P 1.54
O47 0.5111 0.8396 0.7519  1 Si 1.64
O48 0.1747 0.1996 0.6911  1 Si 1.65
O49 0.8678 0.5067 0.1412  1 Si 1.65
Si8 0.7043 0.9997 0.7465  4 O 1.63-1.65
Si9 0.2925 0.2940 0.7495  4 O 1.64-1.65
Si10 0.0003 0.2957 0.2465  4 O 1.63-1.65
Hf9 0.9961 0.9930 0.6466  6 O 2.03-2.18
O50 0.5219 0.6971 0.2546  1 Si 1.64
O51 0.9725 0.1699 0.5873  1 P 1.56
O52 0.9696 0.8115 0.0879  1 Si 1.64
O53 0.8430 0.3132 0.5327  1 P 1.55
O54 0.6362 0.1448 0.4213  1 Si 1.64
P4 0.9993 0.7072 0.7529  4 O 1.54-1.56
P5 0.6660 0.0405 0.0862  4 O 1.54-1.56
O55 0.2012 0.1734 0.8079  1 Si 1.65
O56 0.1763 0.9799 0.1994  1 P 1.55
O57 0.8121 0.9752 0.4116  1 Si 1.64
Hf10 0.6627 0.3264 0.9799  6 O 2.03-2.18
O58 0.0201 0.8237 0.6994  1 P 1.55
Si11 0.3727 0.0408 0.5829  4 O 1.64-1.65
Na17 0.3302 0.6507 0.1678  6 O 2.43-2.70
O59 0.0197 0.2097 0.1859  1 Si 1.63
O60 0.8301 0.0275 0.0873  1 P 1.56
Si12 0.0377 0.6664 0.4132  4 O 1.63-1.65
O61 0.6956 0.1760 0.7466  1 Si 1.65
O62 0.4788 0.3086 0.7449  1 Si 1.64
O63 0.6456 0.1178 0.1439  1 P 1.54
O64 0.1817 0.1923 0.4121  1 P 1.55
Hf11 0.3294 0.6597 0.3133  6 O 2.03-2.18
O65 0.7903 0.9803 0.6859  1 Si 1.63
O66 0.8414 0.5329 0.0244  1 Si 1.65
O67 0.1608 0.6854 0.4689  1 Si 1.63
O68 0.1604 0.4889 0.2519  1 Si 1.64
P6 0.3327 0.3738 0.4195  4 O 1.54-1.56
Na18 0.3688 0.0029 0.7537  5 O 2.42-2.59
O69 0.4906 0.6377 0.5799  1 Si 1.65
O70 0.1455 0.6419 0.0783  1 Si 1.64
O71 0.4937 0.1556 0.9185  1 Si 1.64
O72 0.4569 0.3136 0.0192  1 Si 1.63
Hf12 0.6621 0.3372 0.6867  6 O 1.97-2.17

M_tot: 0.002 Bohr magnetons per cell
DFT formation energy: -309.6 kJ/mol of atoms
calculated total energy: -932.668 eV per cell